[1]
A geometry-optimized TiNiP structure. Source: the Materials Project, functional PBE.

a = 6.049 Å, b = 3.557 Å, c = 6.944 Å
α = 90.00°, β = 90.00°, γ = 90.00°
Atoms (fractional coordinates):
P 0.731 0.750 0.876
Ni 0.853 0.750 0.563
Ti 0.473 0.750 0.326
Ti 0.027 0.250 0.826
Ti 0.527 0.250 0.674
Ti 0.973 0.750 0.174
Ni 0.147 0.250 0.437
P 0.769 0.250 0.376
P 0.269 0.250 0.124
P 0.231 0.750 0.624
Ni 0.353 0.750 0.937
Ni 0.647 0.250 0.063

[2]
A geometry-optimized TmNi2P2 structure. Source: the Materials Project, functional PBE.

a = 3.844 Å, b = 3.844 Å, c = 5.394 Å
α = 110.87°, β = 110.87°, γ = 90.00°
Atoms (fractional coordinates):
Tm 0.000 0.000 0.000
Ni 0.750 0.250 0.500
P 0.622 0.622 0.243
P 0.378 0.378 0.757
Ni 0.250 0.750 0.500

[3]
A geometry-optimized Tm2Ni12P7 structure. Source: the Materials Project, functional PBE.

a = 9.016 Å, b = 9.016 Å, c = 3.661 Å
α = 90.00°, β = 90.00°, γ = 120.00°
Atoms (fractional coordinates):
P 0.113 0.407 0.500
P 0.408 0.293 0.000
P 0.593 0.706 0.500
Ni 0.435 0.061 0.000
P 0.294 0.887 0.500
Ni 0.049 0.618 0.500
Ni 0.939 0.374 0.000
Ni 0.626 0.565 0.000
Ni 0.122 0.847 0.000
Tm 0.333 0.667 0.000
P 0.885 0.592 0.000
P 0.707 0.115 0.000
Ni 0.218 0.095 0.500
P 0.000 0.000 0.000
Ni 0.725 0.878 0.000
Tm 0.667 0.333 0.500
Ni 0.153 0.275 0.000
Ni 0.382 0.432 0.500
Ni 0.568 0.951 0.500
Ni 0.905 0.123 0.500
Ni 0.877 0.782 0.500

[4]
A geometry-optimized UNiP2 structure. Source: the Materials Project, functional PBE.

a = 3.791 Å, b = 3.796 Å, c = 13.326 Å
α = 90.00°, β = 90.00°, γ = 90.00°
Atoms (fractional coordinates):
U 0.000 0.500 0.987
P 0.500 0.500 0.505
P 0.000 0.500 0.732
P 0.500 0.000 0.910
U 0.500 0.000 0.656
Ni 0.000 0.000 0.174
P 0.000 0.000 0.504
Ni 0.500 0.500 0.171
P 0.000 0.500 0.275
Ni 0.000 0.000 0.823
U 0.500 0.000 0.355
P 0.500 0.000 0.081

[5]
A geometry-optimized UNi4P2 structure. Source: the Materials Project, functional PBE.

a = 7.020 Å, b = 7.020 Å, c = 3.658 Å
α = 90.00°, β = 90.00°, γ = 90.00°
Atoms (fractional coordinates):
Ni 0.910 0.661 0.000
P 0.782 0.218 0.000
Ni 0.410 0.839 0.500
Ni 0.661 0.910 0.000
P 0.718 0.718 0.500
Ni 0.339 0.090 0.000
Ni 0.090 0.339 0.000
U 0.000 0.000 0.500
Ni 0.839 0.410 0.500
P 0.218 0.782 0.000
Ni 0.161 0.590 0.500
U 0.500 0.500 0.000
Ni 0.590 0.161 0.500
P 0.282 0.282 0.500

[6]
A geometry-optimized VNi4P16 structure. Source: the Materials Project, functional PBE.

a = 10.182 Å, b = 10.182 Å, c = 11.097 Å
α = 79.55°, β = 79.55°, γ = 32.31°
Atoms (fractional coordinates):
P 0.382 0.381 0.837
P 0.728 0.263 0.609
P 0.779 0.342 0.418
P 0.114 0.444 0.812
P 0.722 0.853 0.054
P 0.263 0.728 0.109
P 0.221 0.658 0.582
P 0.006 0.114 0.134
V 0.607 0.393 0.250
P 0.342 0.779 0.918
P 0.012 0.269 0.720
P 0.322 0.396 0.042
P 0.444 0.114 0.312
Ni 0.194 0.307 0.629
P 0.988 0.731 0.280
Ni 0.800 0.988 0.574
P 0.678 0.604 0.958
P 0.658 0.221 0.082
P 0.556 0.886 0.688
P 0.147 0.278 0.446
P 0.272 0.737 0.391
P 0.396 0.322 0.542
P 0.886 0.994 0.366
P 0.381 0.382 0.337
Ni 0.693 0.806 0.871
P 0.886 0.556 0.188
P 0.619 0.618 0.663
P 0.114 0.006 0.634
P 0.731 0.988 0.780
Ni 0.307 0.194 0.129
Ni 0.012 0.200 0.926
P 0.278 0.147 0.946
Ni 0.806 0.693 0.371
Ni 0.200 0.012 0.426
P 0.994 0.886 0.866
P 0.604 0.678 0.458
P 0.269 0.012 0.220
V 0.393 0.607 0.750
P 0.618 0.619 0.163
P 0.853 0.722 0.554
Ni 0.988 0.800 0.074
P 0.737 0.272 0.891

Output
Magnetic moment in μB/atom: 0.000

no.,E_form (eV/atom)
1,-1.07
2,-1.00
3,-0.77
4,-0.80
5,-0.68
6,-0.31